Crystalline LiSiBiO4 at its relaxed geometry, computed with PBE.

Lattice parameters (Å, degrees): 4.885 5.367 12.486 90.00 90.00 90.00
Fractional coordinates of all 28 atoms:
O (0.255, 0.605, 0.046)
O (0.337, 0.455, 0.809)
O (0.755, 0.395, 0.454)
O (0.245, 0.105, 0.454)
O (0.663, 0.545, 0.191)
O (0.163, 0.955, 0.691)
O (0.837, 0.545, 0.691)
O (0.745, 0.395, 0.954)
O (0.837, 0.045, 0.309)
O (0.663, 0.045, 0.809)
O (0.255, 0.105, 0.954)
O (0.755, 0.895, 0.546)
O (0.337, 0.955, 0.191)
O (0.245, 0.605, 0.546)
O (0.745, 0.895, 0.046)
O (0.163, 0.455, 0.309)
Si (0.500, 0.750, 0.116)
Si (0.500, 0.250, 0.884)
Si (0.000, 0.250, 0.384)
Si (0.000, 0.750, 0.616)
Li (0.500, 0.250, 0.264)
Li (0.500, 0.750, 0.736)
Li (0.000, 0.250, 0.764)
Li (0.000, 0.750, 0.236)
Bi (0.500, 0.750, 0.400)
Bi (0.500, 0.250, 0.600)
Bi (0.000, 0.750, 0.900)
Bi (0.000, 0.250, 0.100)

Calculated values
- relative energy among the computed polymorphs (eV/atom) = 0.0296
- energy of formation from the pure elements (meV per atom) = -2496